# 1
Material: LiMn2B2O6
Method: DFT, PBE+U
State: relaxed

Cell lengths 5.3001, 5.8027, 18.0144 Å; angles 83.86, 82.20, 65.86 degrees
Space group P-1 (No. 2)
Inequivalent atoms, fractional coordinates:
Li 0.1752 0.4752 0.3594 x2
Li 0.3200 0.2792 0.8898 x2
Mn 0.2141 0.7270 0.0267 x2
Mn 0.2158 0.2173 0.5298 x2
Mn 0.2829 0.0345 0.2198 x2
Mn 0.2853 0.5192 0.7233 x2
B 0.1989 0.0620 0.6939 x2
B 0.2046 0.5618 0.1904 x2
B 0.2998 0.6802 0.5622 x2
B 0.3074 0.1848 0.0539 x2
O 0.0502 0.1591 0.6342 x2
O 0.0562 0.6317 0.1300 x2
O 0.0862 0.6056 0.5516 x2
O 0.1097 0.1001 0.0386 x2
O 0.1281 0.4244 0.2528 x2
O 0.1518 0.8767 0.7443 x2
O 0.3582 0.3565 0.9970 x2
O 0.3702 0.8399 0.5079 x2
O 0.3866 0.1553 0.7128 x2
O 0.4266 0.6284 0.1958 x2
O 0.4496 0.5931 0.6231 x2
O 0.4564 0.0909 0.1127 x2

## Properties
* M_tot: 36.0 Bohr magnetons per cell
* relative energy among the computed polymorphs: 10 meV per atom
* E_tot: -7.50 eV per atom
* ΔE_f: -2.42 eV/atom
* calculated volume: 500.11 Å³/cell

=====

# 2
Material: Li2Mn3B3O9
Method: DFT, PBE+U
State: relaxed

Cell lengths 5.2734, 5.8576, 12.4551 Å; angles 91.82, 101.75, 90.53 degrees
Space group P1 (No. 1)
Inequivalent atoms, fractional coordinates:
Li 0.0000 0.0000 0.0000 x1
Li 0.1439 0.7195 0.6344 x1
Li 0.4687 0.0523 0.3048 x1
Li 0.7985 0.4058 0.9661 x1
Mn 0.1809 0.5101 0.4298 x1
Mn 0.2750 0.5662 0.8688 x1
Mn 0.5293 0.8258 0.1054 x1
Mn 0.6167 0.9003 0.5358 x1
Mn 0.8514 0.1772 0.7593 x1
Mn 0.9321 0.2433 0.2050 x1
B 0.0457 0.0146 0.4262 x1
B 0.0879 0.7354 0.2116 x1
B 0.3709 0.3348 0.0893 x1
B 0.4235 0.0679 0.8870 x1
B 0.7044 0.6845 0.7565 x1
B 0.7503 0.4028 0.5474 x1
O 0.0079 0.4307 0.5588 x1
O 0.1059 0.3184 0.0708 x1
O 0.1576 0.1610 0.3608 x1
O 0.2070 0.8733 0.4972 x1
O 0.2514 0.2190 0.8285 x1
O 0.3170 0.8996 0.9446 x1
O 0.3511 0.7596 0.2283 x1
O 0.4436 0.6883 0.7482 x1
O 0.4914 0.4920 0.0316 x1
O 0.5286 0.1880 0.1596 x1
O 0.5747 0.5674 0.4987 x1
O 0.6433 0.2165 0.5943 x1
O 0.6881 0.0924 0.8979 x1
O 0.7804 0.0043 0.4140 x1
O 0.8242 0.8255 0.6908 x1
O 0.8632 0.5408 0.8281 x1
O 0.9267 0.8776 0.1387 x1
O 0.9804 0.5764 0.2702 x1

## Properties
* M_tot: 28.0 Bohr magnetons per cell
* relative energy among the computed polymorphs: 15 meV per atom
* E_tot: -7.43 eV per atom
* ΔE_f: -2.45 eV/atom
* calculated volume: 376.43 Å³/cell

=====

# 3
Material: LiMn2B2O6
Method: DFT, PBE+U
State: relaxed

Cell lengths 5.3517, 10.2081, 13.9587 Å; angles 90.41, 100.42, 91.91 degrees
Space group P1 (No. 1)
Inequivalent atoms, fractional coordinates:
Li 0.0000 0.0000 0.0000 x1
Li 0.0097 0.5042 0.9821 x1
Li 0.3337 0.4953 0.6490 x1
Li 0.3447 0.0056 0.6678 x1
Li 0.4019 0.7493 0.3360 x1
Li 0.6833 0.4812 0.3206 x1
Mn 0.1400 0.9686 0.2309 x1
Mn 0.1583 0.2168 0.8875 x1
Mn 0.2405 0.4547 0.4282 x1
Mn 0.2641 0.7154 0.1082 x1
Mn 0.4526 0.9645 0.8767 x1
Mn 0.4886 0.2146 0.5448 x1
Mn 0.5788 0.4659 0.0958 x1
Mn 0.5990 0.7165 0.7641 x1
Mn 0.7935 0.9701 0.5440 x1
Mn 0.8109 0.2126 0.2094 x1
Mn 0.9052 0.4621 0.7734 x1
Mn 0.9406 0.7105 0.4462 x1
B 0.1388 0.4679 0.2087 x1
B 0.1468 0.7084 0.8776 x1
B 0.2546 0.2068 0.1164 x1
B 0.2697 0.9609 0.4482 x1
B 0.4731 0.7088 0.5402 x1
B 0.4745 0.4648 0.8747 x1
B 0.5767 0.9650 0.1015 x1
B 0.5989 0.2069 0.7757 x1
B 0.8059 0.4559 0.5486 x1
B 0.8081 0.7086 0.2182 x1
B 0.9164 0.9681 0.7705 x1
B 0.9250 0.2086 0.4378 x1
O 0.0034 0.9720 0.6859 x1
O 0.0319 0.9164 0.4605 x1
O 0.0556 0.7579 0.2137 x1
O 0.0705 0.0035 0.8610 x1
O 0.0990 0.6909 0.9683 x1
O 0.1161 0.1821 0.0270 x1
O 0.1655 0.1696 0.2014 x1
O 0.1785 0.2540 0.4520 x1
O 0.1904 0.5200 0.1194 x1
O 0.2198 0.4260 0.8769 x1
O 0.3154 0.4754 0.2903 x1
O 0.3224 0.6626 0.4530 x1
O 0.3355 0.9087 0.1127 x1
O 0.3574 0.9411 0.3653 x1
O 0.3589 0.7791 0.8579 x1
O 0.4135 0.6788 0.6269 x1
O 0.4231 0.0189 0.5338 x1
O 0.4598 0.1896 0.6863 x1
O 0.4928 0.2698 0.1289 x1
O 0.5154 0.1533 0.8584 x1
O 0.5355 0.5004 0.7845 x1
O 0.5515 0.4063 0.5447 x1
O 0.6433 0.6716 0.1326 x1
O 0.6517 0.4655 0.9567 x1
O 0.6520 0.9643 0.0141 x1
O 0.6629 0.9264 0.7720 x1
O 0.6911 0.7837 0.5303 x1
O 0.7304 0.0208 0.1848 x1
O 0.7323 0.6941 0.3060 x1
O 0.7697 0.2201 0.3525 x1
O 0.8323 0.2768 0.7938 x1
O 0.8432 0.1596 0.5231 x1
O 0.8694 0.5004 0.4613 x1
O 0.8931 0.4119 0.2066 x1
O 0.9721 0.4605 0.6341 x1
O 0.9803 0.6524 0.7963 x1

## Properties
* M_tot: 54.0 Bohr magnetons per cell
* relative energy among the computed polymorphs: 13 meV per atom
* E_tot: -7.49 eV per atom
* ΔE_f: -2.42 eV/atom
* calculated volume: 749.50 Å³/cell

=====

# 4
Material: LiMn2B2O6
Method: DFT, PBE+U
State: relaxed

Cell lengths 5.3016, 5.7941, 22.2093 Å; angles 89.58, 89.49, 66.27 degrees
Space group P1 (No. 1)
Inequivalent atoms, fractional coordinates:
Li 0.0000 0.0000 0.0000 x1
Li 0.0419 0.2916 0.6240 x1
Li 0.4008 0.1995 0.1996 x1
Li 0.5952 0.8018 0.7998 x1
Li 0.7986 0.4019 0.3991 x1
Mn 0.0909 0.8189 0.7324 x1
Mn 0.1392 0.0740 0.4887 x1
Mn 0.2917 0.4131 0.3331 x1
Mn 0.3469 0.6718 0.0897 x1
Mn 0.4920 0.0151 0.9341 x1
Mn 0.5379 0.2844 0.6919 x1
Mn 0.6812 0.6262 0.5368 x1
Mn 0.7456 0.8714 0.2896 x1
Mn 0.8927 0.2155 0.1343 x1
Mn 0.9454 0.4707 0.8883 x1
B 0.0369 0.9481 0.8634 x1
B 0.1912 0.9510 0.3563 x1
B 0.2420 0.5414 0.4620 x1
B 0.3929 0.5512 0.9563 x1
B 0.4382 0.1458 0.0634 x1
B 0.5921 0.1501 0.5609 x1
B 0.6424 0.7464 0.6671 x1
B 0.7936 0.7513 0.1566 x1
B 0.8371 0.3456 0.2631 x1
B 0.9873 0.3547 0.7553 x1
O 0.0157 0.2780 0.2147 x1
O 0.0168 0.0381 0.4036 x1
O 0.0183 0.4755 0.4702 x1
O 0.0914 0.0729 0.9128 x1
O 0.1668 0.7734 0.3162 x1
O 0.1843 0.4517 0.7433 x1
O 0.2095 0.8903 0.8142 x1
O 0.2119 0.0840 0.0681 x1
O 0.2227 0.6372 0.0042 x1
O 0.3039 0.6799 0.5063 x1
O 0.3669 0.3744 0.9160 x1
O 0.3873 0.0480 0.3415 x1
O 0.4160 0.4667 0.4127 x1
O 0.4197 0.2157 0.6089 x1
O 0.4311 0.6715 0.6774 x1
O 0.4957 0.2707 0.1123 x1
O 0.5645 0.9876 0.5173 x1
O 0.5879 0.6490 0.9407 x1
O 0.6108 0.2837 0.2671 x1
O 0.6145 0.0778 0.0146 x1
O 0.6210 0.8371 0.2042 x1
O 0.6900 0.8914 0.7131 x1
O 0.7688 0.5743 0.1163 x1
O 0.7980 0.2465 0.5519 x1
O 0.8114 0.4324 0.8021 x1
O 0.8140 0.8803 0.8679 x1
O 0.8180 0.6624 0.6185 x1
O 0.8933 0.4700 0.3122 x1
O 0.9684 0.1882 0.7100 x1
O 0.9887 0.8496 0.1416 x1

## Properties
* M_tot: 45.0 Bohr magnetons per cell
* relative energy among the computed polymorphs: 7 meV per atom
* E_tot: -7.50 eV per atom
* ΔE_f: -2.42 eV/atom
* calculated volume: 624.49 Å³/cell

=====

# 5
Material: Li2Mn3B3O9
Method: DFT, PBE+U
State: relaxed

Cell lengths 6.2117, 7.8173, 9.0403 Å; angles 109.72, 106.68, 100.26 degrees
Space group P-1 (No. 2)
Inequivalent atoms, fractional coordinates:
Li 0.1636 0.3226 0.0521 x2
Li 0.1787 0.9947 0.6198 x2
Mn 0.1491 0.4040 0.4077 x2
Mn 0.2318 0.9857 0.2774 x2
Mn 0.4403 0.7047 0.0407 x2
B 0.1013 0.3491 0.7176 x2
B 0.1971 0.9518 0.9343 x2
B 0.4646 0.6917 0.3713 x2
O 0.0363 0.8361 0.3753 x2
O 0.0685 0.8803 0.7607 x2
O 0.1067 0.4747 0.6332 x2
O 0.1629 0.8332 0.0184 x2
O 0.2493 0.4192 0.8855 x2
O 0.2881 0.5201 0.2794 x2
O 0.3408 0.1357 0.0275 x2
O 0.3816 0.2681 0.4652 x2
O 0.4970 0.8280 0.3067 x2

## Properties
* M_tot: 28.0 Bohr magnetons per cell
* relative energy among the computed polymorphs: 1 meV per atom
* E_tot: -7.44 eV per atom
* ΔE_f: -2.46 eV/atom
* calculated volume: 376.99 Å³/cell

=====

# 6
Material: Li2Mn3B3O9
Method: DFT, PBE+U
State: relaxed

Cell lengths 5.2938, 7.8696, 9.5907 Å; angles 74.97, 75.79, 87.38 degrees
Space group P-1 (No. 2)
Inequivalent atoms, fractional coordinates:
Li 0.0475 0.2480 0.0919 x2
Li 0.3632 0.6069 0.4169 x2
Mn 0.0570 0.4712 0.7216 x2
Mn 0.2753 0.8776 0.6218 x2
Mn 0.3947 0.7998 0.0473 x2
B 0.1478 0.0844 0.8488 x2
B 0.1775 0.2523 0.4972 x2
B 0.4871 0.4179 0.1721 x2
O 0.0130 0.2282 0.8927 x2
O 0.0448 0.9883 0.7754 x2
O 0.0627 0.7141 0.5384 x2
O 0.2757 0.6399 0.7899 x2
O 0.2871 0.3637 0.5570 x2
O 0.3231 0.1094 0.4628 x2
O 0.3652 0.5628 0.2213 x2
O 0.3726 0.3335 0.0964 x2
O 0.3765 0.0394 0.8930 x2

## Properties
* M_tot: 28.0 Bohr magnetons per cell
* relative energy among the computed polymorphs: 17 meV per atom
* E_tot: -7.43 eV per atom
* ΔE_f: -2.45 eV/atom
* calculated volume: 374.00 Å³/cell

=====

# 7
Material: LiMn2B2O6
Method: DFT, PBE+U
State: relaxed

Cell lengths 5.2529, 11.5950, 13.9336 Å; angles 113.77, 90.89, 102.28 degrees
Space group P1 (No. 1)
Inequivalent atoms, fractional coordinates:
Li 0.0000 0.0000 0.0000 x1
Li 0.0179 0.4575 0.2757 x1
Li 0.1786 0.3516 0.8533 x1
Li 0.3430 0.6649 0.6774 x1
Li 0.8152 0.6640 0.1925 x1
Li 0.8447 0.1284 0.4653 x1
Mn 0.1841 0.4141 0.4610 x1
Mn 0.2563 0.5392 0.0864 x1
Mn 0.2642 0.9168 0.7108 x1
Mn 0.3244 0.0377 0.3296 x1
Mn 0.5423 0.1028 0.1408 x1
Mn 0.5834 0.1963 0.7365 x1
Mn 0.5981 0.5943 0.3954 x1
Mn 0.6606 0.7094 0.0065 x1
Mn 0.8835 0.7658 0.8143 x1
Mn 0.9262 0.8705 0.4144 x1
Mn 0.9327 0.2555 0.0450 x1
Mn 0.9851 0.3738 0.6641 x1
B 0.0241 0.1057 0.6418 x1
B 0.0731 0.1978 0.2287 x1
B 0.1005 0.5951 0.8931 x1
B 0.1482 0.6920 0.4926 x1
B 0.3493 0.7587 0.3066 x1
B 0.4174 0.2517 0.5534 x1
B 0.4284 0.8759 0.9175 x1
B 0.4836 0.3687 0.1688 x1
B 0.6917 0.4147 0.9683 x1
B 0.7458 0.5396 0.5936 x1
B 0.7713 0.9290 0.2340 x1
B 0.8222 0.0225 0.8202 x1
O 0.0187 0.2985 0.3080 x1
O 0.1291 0.4880 0.8083 x1
O 0.1717 0.6641 0.2273 x1
O 0.1748 0.2823 0.5401 x1
O 0.1913 0.5763 0.4171 x1
O 0.2316 0.0791 0.6838 x1
O 0.2367 0.3888 0.1469 x1
O 0.2549 0.6367 0.9869 x1
O 0.2632 0.1345 0.2350 x1
O 0.2836 0.7506 0.5895 x1
O 0.2886 0.8095 0.8153 x1
O 0.2927 0.8773 0.3701 x1
O 0.3348 0.9617 0.9988 x1
O 0.5219 0.1795 0.4688 x1
O 0.5244 0.3347 0.8807 x1
O 0.5453 0.2513 0.1016 x1
O 0.5505 0.3020 0.6561 x1
O 0.5946 0.7389 0.3278 x1
O 0.6007 0.4937 0.4970 x1
O 0.6070 0.0030 0.2210 x1
O 0.6337 0.0510 0.7684 x1
O 0.6495 0.5290 0.0448 x1
O 0.6571 0.4612 0.2491 x1
O 0.6724 0.8501 0.9334 x1
O 0.6755 0.6247 0.6833 x1
O 0.8019 0.8166 0.1607 x1
O 0.8850 0.9024 0.7651 x1
O 0.8893 0.0304 0.5470 x1
O 0.9030 0.9832 0.3387 x1
O 0.9081 0.6598 0.8890 x1
O 0.9299 0.1433 0.1244 x1
O 0.9361 0.3821 0.9843 x1
O 0.9405 0.1008 0.9190 x1
O 0.9447 0.7396 0.4655 x1
O 0.9653 0.2276 0.7102 x1
O 0.9802 0.4954 0.5995 x1

## Properties
* M_tot: 54.0 Bohr magnetons per cell
* relative energy among the computed polymorphs: 6 meV per atom
* E_tot: -7.50 eV per atom
* ΔE_f: -2.43 eV/atom
* calculated volume: 754.03 Å³/cell

=====

# 8
Material: LiMn2B2O6
Method: DFT, PBE+U
State: relaxed

Cell lengths 5.3015, 5.7798, 22.2141 Å; angles 89.11, 89.29, 65.85 degrees
Space group P1 (No. 1)
Inequivalent atoms, fractional coordinates:
Li 0.0000 0.0000 0.0000 x1
Li 0.0485 0.2890 0.6252 x1
Li 0.2468 0.8893 0.2254 x1
Li 0.5961 0.8018 0.8006 x1
Li 0.7935 0.4030 0.3994 x1
Mn 0.0965 0.8142 0.7348 x1
Mn 0.1487 0.0702 0.4874 x1
Mn 0.2962 0.4118 0.3327 x1
Mn 0.3455 0.6716 0.0893 x1
Mn 0.4957 0.0104 0.9346 x1
Mn 0.5463 0.2815 0.6922 x1
Mn 0.6919 0.6218 0.5372 x1
Mn 0.7438 0.8805 0.2920 x1
Mn 0.8900 0.2236 0.1376 x1
Mn 0.9497 0.4689 0.8887 x1
B 0.0408 0.9472 0.8648 x1
B 0.1922 0.9492 0.3565 x1
B 0.2436 0.5441 0.4628 x1
B 0.3963 0.5475 0.9578 x1
B 0.4458 0.1404 0.0630 x1
B 0.5968 0.1485 0.5617 x1
B 0.6479 0.7441 0.6685 x1
B 0.7970 0.7484 0.1622 x1
B 0.8468 0.3436 0.2680 x1
B 0.9928 0.3501 0.7561 x1
O 0.0080 0.8378 0.1539 x1
O 0.0156 0.0319 0.4035 x1
O 0.0248 0.2613 0.2203 x1
O 0.0301 0.4604 0.4712 x1
O 0.0942 0.0700 0.9144 x1
O 0.1602 0.7935 0.3109 x1
O 0.1978 0.4367 0.7445 x1
O 0.2135 0.8906 0.8163 x1
O 0.2231 0.6343 0.0051 x1
O 0.2242 0.0702 0.0712 x1
O 0.2888 0.6922 0.5069 x1
O 0.3698 0.3726 0.9176 x1
O 0.3976 0.0348 0.3452 x1
O 0.4141 0.4790 0.4138 x1
O 0.4279 0.2143 0.6107 x1
O 0.4432 0.6589 0.6805 x1
O 0.5034 0.2811 0.1069 x1
O 0.5506 0.0004 0.5176 x1
O 0.5932 0.6431 0.9427 x1
O 0.6195 0.0660 0.0141 x1
O 0.6249 0.8131 0.2104 x1
O 0.6414 0.2597 0.2786 x1
O 0.6821 0.9004 0.7136 x1
O 0.7605 0.5938 0.1182 x1
O 0.8113 0.2312 0.5529 x1
O 0.8174 0.4331 0.8030 x1
O 0.8169 0.8801 0.8689 x1
O 0.8231 0.6600 0.6210 x1
O 0.8829 0.4960 0.3135 x1
O 0.9634 0.1925 0.7105 x1

## Properties
* M_tot: 45.0 Bohr magnetons per cell
* relative energy among the computed polymorphs: 14 meV per atom
* E_tot: -7.49 eV per atom
* ΔE_f: -2.42 eV/atom
* calculated volume: 620.99 Å³/cell

=====

Question: Number 7 is which compound?
Answer: LiMn2B2O6